A.
The following is a DFT calculation (PBE+U) of a geometry-optimized MgFe4H4O8 structure.

Unit cell a=5.6457 b=3.0656 c=10.3360 alpha=90.00 beta=90.50 gamma=90.00
With the nearest neighbours (Å) after each atom.
Space group Pm (No. 6)
One atom of each set of equivalent atoms:
Mg (0.0000, 0.0000, 0.0000) x1  4 O 1.91-2.06
Fe (0.3240, 0.0000, 0.1942) x1  1 O 1.83
Fe (0.5319, 0.5000, 0.4508) x1  5 O 2.09-2.14
Fe (0.5350, 0.5000, 0.8659) x1  5 O 2.04-2.22
Fe (0.8198, 0.0000, 0.6645) x1  6 O 2.05-2.09
H (0.2009, 0.0000, 0.8068) x1  1 O 0.98
H (0.2290, 0.5000, 0.6470) x1  1 O 0.99
H (0.7190, 0.5000, 0.1805) x1  1 O 0.98
H (0.9534, 0.0000, 0.4231) x1  1 O 0.98
O (0.0606, 0.5000, 0.6714) x1  1 H 0.99
O (0.0953, 0.5000, 0.1232) x1  2 Mg 2.06, 2 Fe 2.13, 1 H 2.21
O (0.2860, 0.0000, 0.8902) x1  1 H 0.98
O (0.3253, 0.0000, 0.3714) x1  1 Fe 1.83
O (0.5562, 0.5000, 0.1456) x1  1 H 0.98
O (0.5806, 0.5000, 0.6527) x1  1 H 1.98, 4 Fe 2.05-2.22
O (0.7742, 0.0000, 0.8619) x1  1 Mg 1.91, 3 Fe 2.04-2.06
O (0.7955, 0.0000, 0.4622) x1  1 H 0.98

- calculated density (g/cm3) = 3.5

***

B.
The following is a DFT calculation (PBE+U) of a geometry-optimized MgFe4H4O8 structure.

Unit cell a=4.9193 b=3.0453 c=10.9715 alpha=90.00 beta=90.33 gamma=90.00
With the nearest neighbours (Å) after each atom.
Space group Pm (No. 6)
One atom of each set of equivalent atoms:
Mg (0.0000, 0.0000, 0.0000) x1  5 O 2.02-2.19, 1 H 2.16
Fe (0.0227, 0.0000, 0.3988) x1  6 O 1.97-2.19
Fe (0.5273, 0.0000, 0.8857) x1  1 O 1.92
Fe (0.5802, 0.5000, 0.1811) x1  6 O 2.00-2.20
Fe (0.8604, 0.5000, 0.6369) x1  5 O 2.00-2.19
H (0.1199, 0.5000, 0.8119) x1  1 O 0.99
H (0.1569, 0.0000, 0.1838) x1  1 O 1.01
H (0.3390, 0.0000, 0.6112) x1  1 O 0.98
H (0.4806, 0.5000, 0.3985) x1  1 O 1.03
O (0.1518, 0.0000, 0.5792) x1  1 H 0.98
O (0.2100, 0.5000, 0.8925) x1  1 H 0.99
O (0.3088, 0.0000, 0.1226) x1  1 H 1.01
O (0.3146, 0.5000, 0.3415) x1  1 H 1.03
O (0.6892, 0.0000, 0.7272) x1  3 Fe 1.92-2.00, 1 H 2.14
O (0.7226, 0.5000, 0.0054) x1  2 Mg 2.05, 3 Fe 2.05-2.23
O (0.7936, 0.5000, 0.4475) x1  1 H 1.63
O (0.8258, 0.0000, 0.2253) x1  1 H 1.69

- calculated density (g/cm3) = 3.8

***

Stability summary: most stable B, least stable A.

***

A.
The following is a DFT calculation (PBE+U) of a geometry-optimized Li2Fe3F8 structure.

Unit cell a=5.3481 b=5.6908 c=5.9274 alpha=73.37 beta=89.85 gamma=62.67
With the nearest neighbours (Å) after each atom.
Space group P-1 (No. 2)
One atom of each set of equivalent atoms:
Li (0.0529, 0.4103, 0.2563) x2  3 F 1.92-1.96
Fe (0.2649, 0.9698, 0.8601) x2  6 F 2.01-2.17
Fe (0.5000, 0.5000, 0.5000) x1  6 F 2.06-2.16
F (0.1855, 0.7359, 0.1830) x2  3 Fe 2.16-2.17, 1 Li 2.21
F (0.2182, 0.7343, 0.6852) x2  1 Li 1.96, 2 Fe 2.01-2.06
F (0.2818, 0.2660, 0.5615) x2  1 Li 1.92, 2 Fe 2.10
F (0.2848, 0.2290, 0.0429) x2  1 Li 1.94, 2 Fe 2.10-2.13

- calculated density (g/cm3) = 3.6

***

B.
The following is a DFT calculation (PBE+U) of a geometry-optimized Li2Fe3F8 structure.

Unit cell a=6.7937 b=9.4047 c=11.2922 alpha=90.00 beta=91.53 gamma=90.00
With the nearest neighbours (Å) after each atom.
Space group P2_1/c (No. 14)
One atom of each set of equivalent atoms:
Li (0.0926, 0.1058, 0.1373) x4  4 F 1.88-1.93
Li (0.4034, 0.5525, 0.1457) x4  4 F 1.91-1.94
Fe (0.1095, 0.5479, 0.8768) x4  6 F 2.02-2.23
Fe (0.2517, 0.1587, 0.8572) x4  5 F 1.98-2.15
Fe (0.4025, 0.6910, 0.4387) x4  5 F 2.02-2.14
F (0.0140, 0.5782, 0.6947) x4  1 Li 1.93, 2 Fe 2.03-2.16
F (0.1016, 0.7325, 0.4210) x4  1 Li 1.88, 1 Fe 2.09
F (0.1641, 0.0050, 0.5678) x4  1 Li 1.91, 1 Fe 2.02
F (0.1801, 0.1505, 0.2953) x4  1 Li 1.91, 2 Fe 1.98-2.14
F (0.3082, 0.1056, 0.0333) x4  1 Li 1.90, 1 Fe 2.08
F (0.3643, 0.5393, 0.3138) x4  1 Li 1.93, 2 Fe 2.02-2.08
F (0.4065, 0.5977, 0.8771) x4  1 Li 1.94, 2 Fe 2.07-2.11
F (0.4673, 0.7446, 0.1057) x4  1 Li 1.91, 1 Fe 2.02

- calculated density (g/cm3) = 3.1

***

C.
The following is a DFT calculation (PBE+U) of a geometry-optimized Li2Fe3F8 structure.

Unit cell a=5.6439 b=12.3614 c=5.3553 alpha=90.00 beta=112.56 gamma=90.00
With the nearest neighbours (Å) after each atom.
Space group P2_1/c (No. 14)
One atom of each set of equivalent atoms:
Li (0.2015, 0.1168, 0.0956) x4  4 F 1.89-1.95
Fe (0.0000, 0.0000, 0.5000) x2  4 F 1.99-2.02
Fe (0.3824, 0.6661, 0.7311) x4  5 F 1.96-2.15
F (0.1037, 0.6758, 0.3741) x4  1 Li 1.93, 1 Fe 1.96
F (0.2053, 0.5200, 0.7731) x4  1 Li 1.94, 2 Fe 1.99-2.12
F (0.2806, 0.0872, 0.7776) x4  1 Li 1.95, 2 Fe 2.02-2.15
F (0.4736, 0.1903, 0.3664) x4  1 Li 1.89, 2 Fe 2.01-2.10

- calculated density (g/cm3) = 3.2

***

Stability summary: most stable A, least stable C.

***

A.
The following is a DFT calculation (PBE+U) of a geometry-optimized Li2MnF4 structure.

Unit cell a=6.1636 b=5.5320 c=5.8387 alpha=90.00 beta=116.85 gamma=90.00
With the nearest neighbours (Å) after each atom.
Space group P2_1/c (No. 14)
One atom of each set of equivalent atoms:
Li (0.0424, 0.2152, 0.4381) x4  4 F 1.86-1.96
Mn (0.5000, 0.0000, 0.5000) x2  6 F 2.13-2.20
F (0.1193, 0.6117, 0.8663) x4  3 Li 1.86-1.96
F (0.3702, 0.2143, 0.1614) x4  1 Li 1.89

- calculated density (g/cm3) = 2.7

***

B.
The following is a DFT calculation (PBE+U) of a geometry-optimized Li2MnF4 structure.

Unit cell a=6.0606 b=12.3084 c=8.6425 alpha=90.00 beta=90.00 gamma=90.00
With the nearest neighbours (Å) after each atom.
Space group Imma (No. 74)
One atom of each set of equivalent atoms:
Li (0.0000, 0.0000, 0.0000) x4  6 F 2.06-2.07
Li (0.0000, 0.2500, 0.0047) x4  6 F 2.01-2.14
Li (0.2500, 0.1372, 0.2500) x8  6 F 2.06-2.12
Mn (0.0000, 0.1122, 0.6218) x8  4 F 2.00-2.06
F (0.0000, 0.0171, 0.2382) x8  1 Mn 2.00, 3 Li 2.07-2.12
F (0.0000, 0.2500, 0.2370) x4  5 Li 2.01-2.06
F (0.0000, 0.2500, 0.7576) x4  2 Mn 2.06, 1 Li 2.14
F (0.2283, 0.1239, 0.0101) x16  1 Mn 2.01, 3 Li 2.06-2.08

- calculated density (g/cm3) = 3.0

***

Stability summary: most stable A, least stable B.

***

A.
The following is a DFT calculation (PBE+U) of a geometry-optimized Li2MnF4 structure.

Unit cell a=5.8100 b=10.4904 c=5.0712 alpha=90.00 beta=90.00 gamma=90.00
With the nearest neighbours (Å) after each atom.
Space group Pmmn (No. 59, origin choice 2)
One atom of each set of equivalent atoms:
Li (0.0000, 0.0000, 0.0000) x4  6 F 1.97-2.12
Li (0.2500, 0.0232, 0.4869) x4  4 F 1.93-2.04
Mn (0.2500, 0.2500, 0.8609) x2  6 F 2.09-2.21
Mn (0.2500, 0.7500, 0.5325) x2  6 F 2.08-2.23
F (0.0009, 0.1215, 0.6666) x8  2 Li 2.00-2.12, 2 Mn 2.21-2.23
F (0.2500, 0.1061, 0.1462) x4  3 Li 1.93-1.97, 1 Mn 2.09
F (0.2500, 0.5994, 0.7998) x4  3 Li 2.04-2.06, 1 Mn 2.08

- calculated density (g/cm3) = 3.1

***

B.
The following is a DFT calculation (PBE+U) of a geometry-optimized Li2MnF4 structure.

Unit cell a=12.3869 b=12.3869 c=8.5242 alpha=90.00 beta=90.00 gamma=90.00
With the nearest neighbours (Å) after each atom.
Space group I4_1/amd (No. 141, origin choice 2)
One atom of each set of equivalent atoms:
Li (0.1306, 0.1194, 0.3750) x16  4 F 1.88-1.95
Li (0.1429, 0.0000, 0.0000) x16  4 F 1.96-2.02
Mn (0.0000, 0.1142, 0.7247) x16  6 F 2.03-2.26
F (0.0000, 0.1168, 0.4870) x16  2 Li 1.88, 1 Mn 2.03
F (0.0000, 0.1312, 0.9877) x16  3 Mn 2.25-2.26, 2 Li 2.41
F (0.1283, 0.0061, 0.7642) x32  3 Li 1.95-2.02, 1 Mn 2.11

- calculated density (g/cm3) = 2.9

***

Stability summary: most stable B, least stable A.